DFT (GGA+U) results for an optimized crystal structure of V4NO10.

Results
Magnetic moment   0.20 μB per atom
Energy of formation from the pure elements   -1.75 eV per atom

a b c (Å): 11.807 3.675 10.305
angles (deg): 90.00 99.28 90.00
Space group C2/m (No. 12)
Asymmetric unit:
1 V 0.090 0.000 0.156
2 V 0.203 0.000 0.843
3 N 0.000 0.500 0.500
4 O 0.065 0.000 0.904
5 O 0.100 0.000 0.313
6 O 0.124 0.500 0.126
7 O 0.170 0.000 0.686
8 O 0.244 0.500 0.886